# KVH24S2O20 | the Materials Project database | PBE with a Hubbard U | optimized geometry
data_KVH24S2O20
_chemical_formula_sum 'K4 V4 H96 S8 O80'
_cell_length_a 12.3828
_cell_length_b 12.3828
_cell_length_c 12.3828
_cell_angle_alpha 90.00
_cell_angle_beta 90.00
_cell_angle_gamma 90.00
_space_group_name_H-M_alt 'P a -3'
_space_group_IT_number 205
_space_group_name_Hall '-P 2ac 2ab 3'
loop_
_atom_site_label
_atom_site_type_symbol
_atom_site_fract_x
_atom_site_fract_y
_atom_site_fract_z
K1 K 0.0000 0.0000 0.0000
V1 V 0.0000 0.0000 0.5000
H1 H 0.0065 0.7223 0.7135
H2 H 0.0213 0.7140 0.0594
H3 H 0.0264 0.2072 0.5652
H4 H 0.1263 0.7136 0.6759
S1 S 0.1748 0.1748 0.1748
O1 O 0.0011 0.0027 0.3361
O2 O 0.0516 0.7012 0.6507
O3 O 0.0631 0.2203 0.1705
O4 O 0.2448 0.2448 0.2448
# - V: 9.89 Å³ per atom
# - DFT total energy: -5.316 eV/atom



# MgNi3P3O13 | the Materials Project database | PBE with a Hubbard U | optimized geometry
data_MgNi3P3O13
_chemical_formula_sum 'Mg2 Ni6 P6 O26'
_cell_length_a 7.4586
_cell_length_b 6.2170
_cell_length_c 10.2013
_cell_angle_alpha 90.00
_cell_angle_beta 100.28
_cell_angle_gamma 90.00
_space_group_name_H-M_alt 'P 1 21/m 1'
_space_group_IT_number 11
loop_
_space_group_symop_operation_xyz
'x,y,z'
'-x,-y,-z'
'-x,y+1/2,-z'
'x,-y+1/2,z'
loop_
_atom_site_label
_atom_site_type_symbol
_atom_site_fract_x
_atom_site_fract_y
_atom_site_fract_z
Mg1 Mg 0.1358 0.2500 0.1699
Ni1 Ni 0.1397 0.2500 0.7993
Ni2 Ni 0.2626 0.7500 0.4356
Ni3 Ni 0.5000 0.0000 0.0000
P1 P 0.1822 0.7500 0.1136
P2 P 0.2363 0.7500 0.7630
P3 P 0.2908 0.2500 0.5116
O1 O 0.0082 0.2500 0.9757
O2 O 0.1075 0.5631 0.7891
O3 O 0.1258 0.7500 0.2539
O4 O 0.1488 0.2500 0.6035
O5 O 0.2540 0.0620 0.4092
O6 O 0.2866 0.5373 0.1031
O7 O 0.2964 0.7500 0.6296
O8 O 0.3762 0.2500 0.9043
O9 O 0.4102 0.7500 0.8731
O10 O 0.4810 0.2500 0.5970
# - V: 11.64 Å³ per atom
# - DFT total energy: -6.205 eV/atom



# Li8Ti6Mn7O30 | the Materials Project database | PBE with a Hubbard U | optimized geometry
data_Li8Ti6Mn7O30
_chemical_formula_sum 'Li8 Ti6 Mn7 O30'
_cell_length_a 5.0085
_cell_length_b 5.0085
_cell_length_c 23.6613
_cell_angle_alpha 90.00
_cell_angle_beta 90.00
_cell_angle_gamma 120.00
_space_group_name_H-M_alt 'P 3'
_space_group_IT_number 143
loop_
_space_group_symop_operation_xyz
'x,y,z'
'-y,x-y,z'
'-x+y,-x,z'
loop_
_atom_site_label
_atom_site_type_symbol
_atom_site_fract_x
_atom_site_fract_y
_atom_site_fract_z
Li1 Li 0.0000 0.0000 0.0000
Li2 Li 0.0000 0.0000 0.1621
Li3 Li 0.0000 0.0000 0.4524
Li4 Li 0.0000 0.0000 0.7057
Li5 Li 0.3333 0.6667 0.6070
Li6 Li 0.3333 0.6667 0.8732
Li7 Li 0.6667 0.3333 0.2844
Li8 Li 0.6667 0.3333 0.5520
Ti1 Ti 0.0000 0.0000 0.2770
Ti2 Ti 0.0000 0.0000 0.5793
Ti3 Ti 0.0000 0.0000 0.8801
Ti4 Ti 0.3333 0.6667 0.4901
Ti5 Ti 0.3333 0.6667 0.9717
Ti6 Ti 0.6667 0.3333 0.6686
Mn1 Mn 0.3333 0.6667 0.0893
Mn2 Mn 0.3333 0.6667 0.3720
Mn3 Mn 0.3333 0.6667 0.7741
Mn4 Mn 0.6667 0.3333 0.0734
Mn5 Mn 0.6667 0.3333 0.1862
Mn6 Mn 0.6667 0.3333 0.3846
Mn7 Mn 0.6667 0.3333 0.7870
O1 O 0.0139 0.3473 0.8252
O2 O 0.0192 0.3882 0.4255
O3 O 0.0246 0.3795 0.0354
O4 O 0.0386 0.7068 0.5304
O5 O 0.0663 0.7369 0.9281
O6 O 0.3310 0.0378 0.6294
O7 O 0.3318 0.0678 0.2302
O8 O 0.3482 0.3346 0.3340
O9 O 0.3821 0.3544 0.1278
O10 O 0.3874 0.3679 0.7341
# - V: 10.08 Å³ per atom
# - DFT total energy: -7.265 eV/atom



# MnSeO4 | the Materials Project database | PBE with a Hubbard U | optimized geometry
data_MnSeO4
_chemical_formula_sum 'Mn4 Se4 O16'
_cell_length_a 5.6287
_cell_length_b 8.5251
_cell_length_c 6.9560
_cell_angle_alpha 90.00
_cell_angle_beta 90.00
_cell_angle_gamma 90.00
_space_group_name_H-M_alt 'C m c m'
_space_group_IT_number 63
_space_group_name_Hall '-C 2c 2'
loop_
_atom_site_label
_atom_site_type_symbol
_atom_site_fract_x
_atom_site_fract_y
_atom_site_fract_z
Mn1 Mn 0.0000 0.0000 0.0000
Se1 Se 0.0000 0.3515 0.2500
O1 O 0.0000 0.2470 0.0492
O2 O 0.2446 0.4689 0.2500
# - V: 13.91 Å³ per atom
# - DFT total energy: -6.198 eV/atom



# FeOF | the Materials Project database | PBE with a Hubbard U | optimized geometry
data_FeOF
_chemical_formula_sum 'Fe16 O16 F16'
_cell_length_a 6.2593
_cell_length_b 9.4568
_cell_length_c 9.4621
_cell_angle_alpha 90.39
_cell_angle_beta 90.22
_cell_angle_gamma 90.02
_space_group_name_H-M_alt 'P -1'
_space_group_IT_number 2
loop_
_space_group_symop_operation_xyz
'x,y,z'
'-x,-y,-z'
loop_
_atom_site_label
_atom_site_type_symbol
_atom_site_fract_x
_atom_site_fract_y
_atom_site_fract_z
Fe1 Fe 0.0171 0.2584 0.2585
Fe2 Fe 0.0183 0.7497 0.2504
Fe3 Fe 0.2302 0.5081 0.4900
Fe4 Fe 0.2682 0.9919 0.0096
Fe5 Fe 0.2747 0.0089 0.4897
Fe6 Fe 0.2746 0.4911 0.0104
Fe7 Fe 0.4804 0.2416 0.2415
Fe8 Fe 0.4811 0.7507 0.2492
O1 O 0.0040 0.5974 0.5970
O2 O 0.2401 0.8477 0.1528
O3 O 0.2474 0.3474 0.1539
O4 O 0.2466 0.6529 0.3464
O5 O 0.2481 0.1531 0.3466
O6 O 0.4963 0.3998 0.9005
O7 O 0.4964 0.9028 0.9030
O8 O 0.4970 0.0995 0.6004
F1 F 0.0033 0.9035 0.9030
F2 F 0.0037 0.0953 0.5956
F3 F 0.0040 0.4048 0.9042
F4 F 0.2385 0.1530 0.8478
F5 F 0.2450 0.3462 0.6531
F6 F 0.2463 0.6535 0.8473
F7 F 0.2468 0.8467 0.6528
F8 F 0.4965 0.5961 0.5966
# - V: 11.67 Å³ per atom
# - DFT total energy: -6.008 eV/atom



# V3O5F | the Materials Project database | PBE with a Hubbard U | optimized geometry
data_V3O5F
_chemical_formula_sum 'V6 O10 F2'
_cell_length_a 4.6561
_cell_length_b 5.5561
_cell_length_c 7.5017
_cell_angle_alpha 84.51
_cell_angle_beta 89.28
_cell_angle_gamma 88.86
_space_group_name_H-M_alt 'P -1'
_space_group_IT_number 2
loop_
_space_group_symop_operation_xyz
'x,y,z'
'-x,-y,-z'
loop_
_atom_site_label
_atom_site_type_symbol
_atom_site_fract_x
_atom_site_fract_y
_atom_site_fract_z
V1 V 0.0000 0.0000 0.0000
V2 V 0.0164 0.3540 0.6637
V3 V 0.4812 0.8218 0.6594
V4 V 0.5000 0.5000 0.0000
O1 O 0.2014 0.3063 0.8987
O2 O 0.2035 0.6389 0.5620
O3 O 0.3018 0.1335 0.5624
O4 O 0.3026 0.4590 0.2379
O5 O 0.3085 0.8047 0.8915
F1 F 0.2030 0.9611 0.2397
# - V: 10.73 Å³ per atom
# - DFT total energy: -7.553 eV/atom



# Mg14ZnNiO16 | the Materials Project database | PBE with a Hubbard U | optimized geometry
data_Mg14ZnNiO16
_chemical_formula_sum 'Mg14 Zn1 Ni1 O16'
_cell_length_a 8.5197
_cell_length_b 8.5197
_cell_length_c 4.2615
_cell_angle_alpha 90.00
_cell_angle_beta 90.00
_cell_angle_gamma 90.00
_space_group_name_H-M_alt 'P 4/m m m'
_space_group_IT_number 123
_space_group_name_Hall '-P 4 2'
loop_
_atom_site_label
_atom_site_type_symbol
_atom_site_fract_x
_atom_site_fract_y
_atom_site_fract_z
Mg1 Mg 0.0000 0.2490 0.0000
Mg2 Mg 0.0000 0.5000 0.5000
Mg3 Mg 0.2495 0.2495 0.5000
Mg4 Mg 0.2499 0.5000 0.0000
Zn1 Zn 0.5000 0.5000 0.5000
Ni1 Ni 0.0000 0.0000 0.5000
O1 O 0.0000 0.0000 0.0000
O2 O 0.0000 0.2505 0.5000
O3 O 0.0000 0.5000 0.0000
O4 O 0.2464 0.5000 0.5000
O5 O 0.2500 0.2500 0.0000
O6 O 0.5000 0.5000 0.0000
# - V: 9.67 Å³ per atom
# - DFT total energy: -5.817 eV/atom